Record 1
Here is a geometry-optimized LiMnSiO4 structure from the Materials Project database. Energies are from GGA+U.

## Properties
volume = 608.5 Å³/cell
formation enthalpy at 0 K = -2.577 eV per atom
SG = P2_1/c (14)

Cell: 10.2839 5.7279 10.3300 Å, 89.40 90.00 90.00°
Last column: nearest neighbours and their distance in Å.
Sites, in units of the cell vectors:
Mn 0.8733 0.8453 0.5195  4 O 1.90-2.03
Mn 0.1267 0.1547 0.4805  4 O 1.90-2.03
Mn 0.4094 0.6379 0.7769  3 O 1.86-2.00
Mn 0.3733 0.1547 0.9805  4 O 1.90-2.03
Mn 0.0906 0.6379 0.2769  3 O 1.86-2.00
Mn 0.6267 0.8453 0.0195  4 O 1.90-2.03
Mn 0.9094 0.3621 0.7231  3 O 1.86-2.00
Mn 0.5906 0.3621 0.2231  3 O 1.86-2.00
O 0.2078 0.5821 0.4397  1 Si 1.64
O 0.9340 0.6197 0.3822  1 Si 1.67
O 0.2922 0.5821 0.9397  1 Si 1.64
O 0.6962 0.8843 0.1944  1 Si 1.67
O 0.0190 0.3634 0.1639  1 Si 1.65
O 0.8038 0.8843 0.6944  1 Si 1.67
O 0.2468 0.6734 0.7007  1 Si 1.60
O 0.5190 0.6366 0.3361  1 Si 1.65
O 0.5502 0.1469 0.9196  1 Si 1.64
O 0.8008 0.8823 0.9618  1 Si 1.66
O 0.7468 0.3266 0.7993  1 Si 1.60
O 0.7922 0.4179 0.5603  1 Si 1.64
O 0.2532 0.6734 0.2007  1 Si 1.60
O 0.9810 0.6366 0.8361  1 Si 1.65
O 0.1962 0.1157 0.3056  1 Si 1.67
O 0.4810 0.3634 0.6639  1 Si 1.65
O 0.0502 0.8531 0.5804  1 Si 1.64
O 0.5106 0.1074 0.3304  1 Si 1.66
O 0.4894 0.8926 0.6696  1 Si 1.66
O 0.7078 0.4179 0.0603  1 Si 1.64
O 0.4340 0.3803 0.1178  1 Si 1.67
O 0.5660 0.6197 0.8822  1 Si 1.67
O 0.9498 0.1469 0.4196  1 Si 1.64
O 0.6992 0.8823 0.4618  1 Si 1.66
O 0.7532 0.3266 0.2993  1 Si 1.60
O 0.1992 0.1177 0.0382  1 Si 1.66
O 0.0106 0.8926 0.1696  1 Si 1.66
O 0.9894 0.1074 0.8304  1 Si 1.66
O 0.3008 0.1177 0.5382  1 Si 1.66
O 0.3038 0.1157 0.8056  1 Si 1.67
O 0.4498 0.8531 0.0804  1 Si 1.64
O 0.0660 0.3803 0.6178  1 Si 1.67
Li 0.6599 0.1205 0.6479  3 O 2.06-2.20
Li 0.8401 0.1205 0.1479  3 O 2.06-2.20
Li 0.1599 0.8795 0.8521  3 O 2.06-2.20
Li 0.1278 0.3638 0.8959  4 O 2.15-2.25
Li 0.3401 0.8795 0.3521  3 O 2.06-2.20
Li 0.3722 0.3638 0.3959  4 O 2.15-2.25
Li 0.8722 0.6362 0.1041  4 O 2.15-2.25
Li 0.6278 0.6362 0.6041  4 O 2.15-2.25
Si 0.6475 0.3745 0.9155  4 O 1.60-1.67
Si 0.8525 0.3745 0.4155  4 O 1.60-1.67
Si 0.1074 0.1240 0.1702  4 O 1.65-1.67
Si 0.6074 0.8760 0.3298  4 O 1.65-1.67
Si 0.8926 0.8760 0.8298  4 O 1.65-1.67
Si 0.1475 0.6255 0.5845  4 O 1.60-1.67
Si 0.3525 0.6255 0.0845  4 O 1.60-1.67
Si 0.3926 0.1240 0.6702  4 O 1.65-1.67

Record 2
Here is a geometry-optimized LiFe2P3O13 structure from the Materials Project database. Energies are from GGA+U.

## Properties
volume = 516.2 Å³/cell
formation enthalpy at 0 K = -1.718 eV per atom
SG = P-1 (2)

Cell: 6.3819 7.7974 10.9268 Å, 74.76 85.20 79.97°
Last column: nearest neighbours and their distance in Å.
Sites, in units of the cell vectors:
O 0.2629 0.3644 0.4118  1 P 1.52
O 0.7371 0.6355 0.5882  1 P 1.52
O 0.1056 0.7990 0.8894  1 P 1.56
O 0.4487 0.7274 0.4020  1 P 1.52
O 0.7442 0.0131 0.9914  1 P 1.52
O 0.9590 0.2100 0.5699  1 P 1.54
O 0.8860 0.5257 0.3403  1 P 1.56
O 0.7580 0.6512 0.0545  1 Fe 1.87, 1 Li 1.92
O 0.2176 0.6657 0.2480  2 P 1.63
O 0.4856 0.7990 0.8744  1 P 1.57
O 0.8699 0.6053 0.8098  1 P 1.52
O 0.7543 0.9129 0.2319  1 P 1.54
O 0.8944 0.2010 0.1106  1 P 1.56
O 0.4144 0.9917 0.5302  1 O 1.24
O 0.5856 0.0083 0.4698  1 O 1.24
O 0.0410 0.7900 0.4301  1 P 1.54
O 0.7688 0.0084 0.7414  1 P 1.52
O 0.5513 0.2726 0.5980  1 P 1.52
O 0.2420 0.3488 0.9455  1 Fe 1.87, 1 Li 1.92
O 0.2558 0.9869 0.0086  1 P 1.52
O 0.1301 0.3947 0.1902  1 P 1.52
O 0.2457 0.0871 0.7681  1 P 1.54
O 0.7824 0.3343 0.7520  2 P 1.63
O 0.5144 0.2010 0.1256  1 P 1.57
O 0.2312 0.9916 0.2586  1 P 1.52
O 0.1140 0.4743 0.6597  1 P 1.56
P 0.7634 0.2005 0.6621  4 O 1.52-1.63
P 0.2701 0.9268 0.8859  4 O 1.52-1.57
P 0.7299 0.0732 0.1141  4 O 1.52-1.57
P 0.2366 0.7995 0.3379  4 O 1.52-1.63
P 0.1261 0.4768 0.3022  4 O 1.52-1.63
P 0.8739 0.5232 0.6978  4 O 1.52-1.63
Fe 0.7844 0.8191 0.8986  5 O 1.87-2.02
Fe 0.2435 0.2653 0.5994  5 O 1.94-2.01
Fe 0.7565 0.7347 0.4006  5 O 1.94-2.01
Fe 0.2156 0.1809 0.1014  5 O 1.87-2.02
Li 0.8057 0.4205 0.1751  3 O 1.92-2.06
Li 0.1943 0.5795 0.8249  3 O 1.92-2.06

Record 3
Here is a geometry-optimized Cs3VH8Cl6O4 structure from the Materials Project database. Energies are from GGA+U.

## Properties
volume = 462.5 Å³/cell
formation enthalpy at 0 K = -1.488 eV per atom
SG = Immm (71)

Cell: 10.3531 10.3531 10.3531 Å, 145.64 131.80 60.53°
Last column: nearest neighbours and their distance in Å.
Sites, in units of the cell vectors:
H 0.2997 0.6973 0.2033  1 O 1.00
H 0.5060 0.9036 0.2033  1 O 1.00
H 0.7003 0.9036 0.3976  1 O 1.00
H 0.2997 0.0964 0.6024  1 O 1.00
H 0.7003 0.3027 0.7967  1 O 1.00
H 0.4940 0.6973 0.3976  1 O 1.00
H 0.4940 0.0964 0.7967  1 O 1.00
H 0.5060 0.3027 0.6024  1 O 1.00
O 0.5807 0.3477 0.7670  2 H 1.00
O 0.4193 0.6523 0.2330  2 H 1.00
O 0.5807 0.8137 0.2330  2 H 1.00
O 0.4193 0.1863 0.7670  2 H 1.00
Cl 0.0859 0.8429 0.2431  2 H 2.06
Cl 0.5998 0.8429 0.7569  2 H 2.06
Cl 0.7846 0.5000 0.2846  1 V 2.41
Cl 0.2154 0.5000 0.7154  1 V 2.41
Cl 0.9141 0.1571 0.7569  2 H 2.06
Cl 0.4002 0.1571 0.2431  2 H 2.06
Cs 0.8129 0.3129 0.5000  8 Cl 3.53-3.81
Cs 0.1871 0.6871 0.5000  8 Cl 3.53-3.81
Cs 0.0000 0.0000 0.0000  8 Cl 3.48-3.56
V 0.5000 0.5000 0.0000  4 O 2.03

Record 4
Here is a geometry-optimized LaCrHO5 structure from the Materials Project database. Energies are from GGA+U.

## Properties
volume = 431.1 Å³/cell
formation enthalpy at 0 K = -2.390 eV per atom
SG = P2_1/c (14)

Cell: 13.2880 4.7834 7.2871 Å, 68.55 90.00 90.00°
Last column: nearest neighbours and their distance in Å.
Sites, in units of the cell vectors:
H 0.1476 0.7224 0.9987  1 O 0.98
H 0.8524 0.2776 0.0013  1 O 0.98
H 0.6476 0.2776 0.5013  1 O 0.98
H 0.3524 0.7224 0.4987  1 O 0.98
O 0.0793 0.7295 0.9471  1 H 0.98
O 0.0970 0.0268 0.1927  1 Cr 1.67
O 0.6604 0.2268 0.9307  1 Cr 1.64
O 0.7614 0.7562 0.1789  1 Cr 1.65
O 0.4030 0.0268 0.6927  1 Cr 1.67
O 0.2614 0.2438 0.3211  1 Cr 1.65
O 0.7386 0.7562 0.6789  1 Cr 1.65
O 0.5700 0.6800 0.0533  1 Cr 1.70
O 0.8396 0.2268 0.4307  1 Cr 1.64
O 0.9207 0.2705 0.0529  1 H 0.98
O 0.9300 0.6800 0.5533  1 Cr 1.70
O 0.2386 0.2438 0.8211  1 Cr 1.65
O 0.5970 0.9732 0.3073  1 Cr 1.67
O 0.4300 0.3200 0.9467  1 Cr 1.70
O 0.0700 0.3200 0.4467  1 Cr 1.70
O 0.4207 0.7295 0.4471  1 H 0.98
O 0.3396 0.7732 0.0693  1 Cr 1.64
O 0.5793 0.2705 0.5529  1 H 0.98
O 0.9030 0.9732 0.8073  1 Cr 1.67
O 0.1604 0.7732 0.5693  1 Cr 1.64
Cr 0.8512 0.9095 0.6180  4 O 1.64-1.70
Cr 0.3512 0.0905 0.8820  4 O 1.64-1.70
Cr 0.1488 0.0905 0.3820  4 O 1.64-1.70
Cr 0.6488 0.9095 0.1180  4 O 1.64-1.70
La 0.4432 0.3361 0.2992  8 O 2.45-2.72
La 0.0568 0.3361 0.7992  8 O 2.45-2.72
La 0.5568 0.6639 0.7008  8 O 2.45-2.72
La 0.9432 0.6639 0.2008  8 O 2.45-2.72

> formation enthalpy at 0 K of number 3 (Cs3VH8Cl6O4)?

-1.488 eV per atom